w) {"formula": "SrMg14B", "functional": "PBE", "state": "relaxed", "lattice": [[10.411, 0.000, 0.000], [0.000, 3.101, 5.824], [0.000, -3.101, 5.824]], "species": ["Sr", "Mg", "Mg", "Mg", "Mg", "Mg", "Mg", "Mg", "Mg", "Mg", "Mg", "Mg", "Mg", "Mg", "Mg", "B"], "frac_coords": [[0.000, 0.000, 0.000], [0.000, 0.036, 0.493], [0.000, 0.493, 0.036], [0.171, 0.601, 0.601], [0.259, 0.133, 0.630], [0.259, 0.630, 0.133], [0.269, 0.140, 0.140], [0.500, 0.479, 0.479], [0.500, 0.481, 0.967], [0.500, 0.967, 0.481], [0.500, 0.970, 0.970], [0.731, 0.140, 0.140], [0.741, 0.133, 0.630], [0.741, 0.630, 0.133], [0.829, 0.601, 0.601], [0.000, 0.438, 0.438]], "magnetic_moment_mub_per_cell": 0.0}



x) {"formula": "SrMg14B", "functional": "PBE", "state": "relaxed", "lattice": [[6.412, 0.000, 0.000], [-3.206, 5.553, 0.000], [0.000, 0.000, 10.429]], "species": ["Sr", "Mg", "Mg", "Mg", "Mg", "Mg", "Mg", "Mg", "Mg", "Mg", "Mg", "Mg", "Mg", "Mg", "Mg", "B"], "frac_coords": [[0.000, 0.000, 0.000], [0.013, 0.506, 0.000], [0.163, 0.325, 0.273], [0.163, 0.325, 0.727], [0.163, 0.837, 0.273], [0.163, 0.837, 0.727], [0.494, 0.506, 0.000], [0.494, 0.987, 0.000], [0.505, 0.010, 0.500], [0.505, 0.495, 0.500], [0.667, 0.333, 0.241], [0.667, 0.333, 0.759], [0.675, 0.837, 0.273], [0.675, 0.837, 0.727], [0.990, 0.495, 0.500], [0.000, 0.000, 0.500]], "magnetic_moment_mub_per_cell": 0.0}



Name the least stable of them. x).



w) {"formula": "Mg14TiB", "functional": "PBE", "state": "relaxed", "lattice": [[9.997, 0.000, 0.000], [0.000, 3.021, 5.535], [0.000, -3.021, 5.535]], "species": ["Mg", "Mg", "Mg", "Mg", "Mg", "Mg", "Mg", "Mg", "Mg", "Mg", "Mg", "Mg", "Mg", "Mg", "Ti", "B"], "frac_coords": [[0.000, 0.000, 0.000], [0.000, 0.004, 0.496], [0.000, 0.496, 0.004], [0.000, 0.497, 0.497], [0.250, 0.661, 0.661], [0.266, 0.165, 0.666], [0.266, 0.666, 0.165], [0.282, 0.148, 0.148], [0.500, 0.002, 0.527], [0.500, 0.527, 0.002], [0.718, 0.148, 0.148], [0.734, 0.165, 0.666], [0.734, 0.666, 0.165], [0.750, 0.661, 0.661], [0.500, 0.512, 0.512], [0.500, 0.968, 0.968]], "magnetic_moment_mub_per_cell": 0.0}



x) {"formula": "Mg14TiB", "functional": "PBE", "state": "relaxed", "lattice": [[6.230, 0.000, 0.000], [-3.115, 5.395, 0.000], [0.000, 0.000, 9.977]], "species": ["Mg", "Mg", "Mg", "Mg", "Mg", "Mg", "Mg", "Mg", "Mg", "Mg", "Mg", "Mg", "Mg", "Mg", "Ti", "B"], "frac_coords": [[0.000, 0.000, 0.244], [0.000, 0.000, 0.756], [0.017, 0.508, 0.259], [0.017, 0.508, 0.741], [0.330, 0.165, 0.500], [0.340, 0.170, 0.000], [0.492, 0.508, 0.259], [0.492, 0.508, 0.741], [0.492, 0.983, 0.259], [0.492, 0.983, 0.741], [0.830, 0.170, 0.000], [0.830, 0.660, 0.000], [0.835, 0.165, 0.500], [0.835, 0.670, 0.500], [0.333, 0.667, 0.000], [0.333, 0.667, 0.500]], "magnetic_moment_mub_per_cell": 1.4}



Name the least stable of them. x).



w) {"formula": "YMg6B", "functional": "PBE", "state": "relaxed", "lattice": [[-1.145, 0.927, 4.516], [-3.281, -5.400, 0.277], [9.422, -5.544, 3.526]], "species": ["Mg", "Mg", "Mg", "Mg", "Mg", "Mg", "Mg", "Mg", "Mg", "Mg", "Mg", "Mg", "Y", "Y", "B", "B"], "frac_coords": [[0.000, 0.500, 0.835], [0.500, 0.500, 0.673], [0.500, 0.754, 0.422], [0.500, 0.246, 0.422], [0.500, 0.000, 0.173], [0.500, 0.254, 0.922], [0.000, 0.743, 0.076], [0.000, 0.257, 0.076], [0.000, 0.243, 0.576], [0.500, 0.746, 0.922], [0.000, 0.000, 0.335], [0.000, 0.757, 0.576], [0.000, 0.500, 0.306], [0.000, 0.000, 0.806], [0.500, 0.500, 0.191], [0.500, 0.000, 0.691]], "magnetic_moment_mub_per_cell": 0.0}



x) {"formula": "YMg6B", "functional": "PBE", "state": "relaxed", "lattice": [[-4.267, 0.195, 1.653], [-2.064, -0.320, -5.292], [-0.253, -13.127, 0.892]], "species": ["Mg", "Mg", "Mg", "Mg", "Mg", "Mg", "Mg", "Mg", "Mg", "Mg", "Mg", "Mg", "Y", "Y", "B", "B"], "frac_coords": [[0.000, 0.500, 0.286], [0.500, 0.752, 0.945], [0.000, 0.000, 0.786], [0.000, 0.740, 0.080], [0.000, 0.500, 0.854], [0.500, 0.252, 0.445], [0.000, 0.240, 0.580], [0.000, 0.000, 0.354], [0.500, 0.248, 0.945], [0.500, 0.748, 0.445], [0.000, 0.760, 0.580], [0.000, 0.260, 0.080], [0.500, 0.500, 0.694], [0.500, 0.000, 0.194], [0.500, 0.000, 0.615], [0.500, 0.500, 0.115]], "magnetic_moment_mub_per_cell": 0.0}



Name the least stable of them. w).



w) {"formula": "Mg14ZnB", "functional": "PBE", "state": "relaxed", "lattice": [[10.034, 0.000, 0.000], [0.000, 3.149, 5.344], [0.000, -3.149, 5.344]], "species": ["Mg", "Mg", "Mg", "Mg", "Mg", "Mg", "Mg", "Mg", "Mg", "Mg", "Mg", "Mg", "Mg", "Mg", "Zn", "B"], "frac_coords": [[0.000, 0.000, 0.000], [0.000, 0.005, 0.504], [0.000, 0.499, 0.499], [0.000, 0.504, 0.005], [0.248, 0.669, 0.669], [0.252, 0.170, 0.170], [0.282, 0.169, 0.685], [0.282, 0.685, 0.169], [0.500, 0.465, 0.979], [0.500, 0.979, 0.465], [0.718, 0.169, 0.685], [0.718, 0.685, 0.169], [0.748, 0.170, 0.170], [0.752, 0.669, 0.669], [0.500, 0.500, 0.500], [0.500, 0.028, 0.028]], "magnetic_moment_mub_per_cell": 0.0}



x) {"formula": "Mg14ZnB", "functional": "PBE", "state": "relaxed", "lattice": [[6.183, 0.000, 0.000], [-3.092, 5.355, 0.000], [0.000, 0.000, 10.031]], "species": ["Mg", "Mg", "Mg", "Mg", "Mg", "Mg", "Mg", "Mg", "Mg", "Mg", "Mg", "Mg", "Mg", "Mg", "Zn", "B"], "frac_coords": [[0.000, 0.000, 0.247], [0.000, 0.000, 0.753], [0.012, 0.506, 0.257], [0.012, 0.506, 0.743], [0.330, 0.165, 0.500], [0.336, 0.168, 0.000], [0.494, 0.506, 0.257], [0.494, 0.506, 0.743], [0.494, 0.988, 0.257], [0.494, 0.988, 0.743], [0.832, 0.168, 0.000], [0.832, 0.664, 0.000], [0.835, 0.165, 0.500], [0.835, 0.670, 0.500], [0.333, 0.667, 0.000], [0.333, 0.667, 0.500]], "magnetic_moment_mub_per_cell": 0.0}



Name the least stable of them. x).



w) {"formula": "MnB4", "functional": "PBE", "state": "relaxed", "lattice": [[4.615, 0.000, 0.000], [0.000, 5.366, 0.000], [0.000, 0.000, 2.948]], "species": ["Mn", "Mn", "B", "B", "B", "B", "B", "B", "B", "B"], "frac_coords": [[0.000, 0.000, 0.000], [0.500, 0.500, 0.500], [0.165, 0.369, 0.000], [0.236, 0.684, 0.000], [0.264, 0.184, 0.500], [0.335, 0.869, 0.500], [0.665, 0.131, 0.500], [0.736, 0.816, 0.500], [0.764, 0.316, 0.000], [0.835, 0.631, 0.000]]}



x) {"formula": "MnB4", "functional": "PBE", "state": "relaxed", "lattice": [[5.444, 0.000, 0.000], [0.000, 5.364, 0.000], [-2.298, 0.000, 4.970]], "species": ["Mn", "Mn", "Mn", "Mn", "B", "B", "B", "B", "B", "B", "B", "B", "B", "B", "B", "B", "B", "B", "B", "B"], "frac_coords": [[0.229, 0.001, 0.224], [0.229, 0.499, 0.724], [0.771, 0.501, 0.276], [0.771, 0.999, 0.776], [0.136, 0.686, 0.362], [0.136, 0.814, 0.862], [0.171, 0.131, 0.826], [0.171, 0.369, 0.326], [0.337, 0.631, 0.159], [0.337, 0.869, 0.659], [0.370, 0.180, 0.627], [0.370, 0.320, 0.127], [0.630, 0.680, 0.873], [0.630, 0.820, 0.373], [0.663, 0.131, 0.341], [0.663, 0.369, 0.841], [0.829, 0.631, 0.674], [0.829, 0.869, 0.174], [0.864, 0.186, 0.138], [0.864, 0.314, 0.638]]}



y) {"formula": "MnB4", "functional": "PBE", "state": "relaxed", "lattice": [[-1.477, 2.317, 2.687], [1.477, -2.317, 2.687], [1.477, 2.317, -2.687]], "species": ["Mn", "B", "B", "B", "B"], "frac_coords": [[0.000, 0.000, 0.000], [0.138, 0.341, 0.797], [0.456, 0.659, 0.797], [0.544, 0.341, 0.203], [0.862, 0.659, 0.203]]}



Name the least stable of them. y).



w) {"formula": "B4Mo", "functional": "PBE", "state": "relaxed", "lattice": [[5.516, 0.000, 0.000], [-2.758, 4.777, 0.000], [0.000, 0.000, 5.167]], "species": ["B", "B", "B", "B", "B", "B", "B", "B", "B", "B", "B", "B", "Mo", "Mo", "Mo"], "frac_coords": [[0.000, 0.340, 0.215], [0.000, 0.340, 0.785], [0.000, 0.660, 0.215], [0.000, 0.660, 0.785], [0.340, 0.000, 0.215], [0.340, 0.000, 0.785], [0.340, 0.340, 0.215], [0.340, 0.340, 0.785], [0.660, 0.000, 0.215], [0.660, 0.000, 0.785], [0.660, 0.660, 0.215], [0.660, 0.660, 0.785], [0.000, 0.000, 0.000], [0.333, 0.667, 0.500], [0.667, 0.333, 0.500]], "magnetic_moment_mub_per_cell": 0.0}



x) {"formula": "B4Mo", "functional": "PBE", "state": "relaxed", "lattice": [[5.321, 0.000, 0.000], [-2.661, 4.609, 0.000], [0.000, 0.000, 6.541]], "species": ["B", "B", "B", "B", "B", "B", "B", "B", "B", "B", "B", "B", "B", "B", "B", "B", "Mo", "Mo", "Mo", "Mo"], "frac_coords": [[0.000, 0.336, 0.000], [0.000, 0.336, 0.500], [0.000, 0.664, 0.000], [0.000, 0.664, 0.500], [0.333, 0.667, 0.121], [0.333, 0.667, 0.379], [0.336, 0.000, 0.000], [0.336, 0.000, 0.500], [0.336, 0.336, 0.000], [0.336, 0.336, 0.500], [0.664, 0.000, 0.000], [0.664, 0.000, 0.500], [0.664, 0.664, 0.000], [0.664, 0.664, 0.500], [0.667, 0.333, 0.621], [0.667, 0.333, 0.879], [0.000, 0.000, 0.250], [0.000, 0.000, 0.750], [0.333, 0.667, 0.750], [0.667, 0.333, 0.250]], "magnetic_moment_mub_per_cell": 0.0}



Name the least stable of them. x).



w) {"formula": "BN", "functional": "PBE", "state": "relaxed", "lattice": [[0.000, 3.499, 2.177], [1.255, 0.000, 2.177], [1.255, 3.499, 0.000]], "species": ["B", "N"], "frac_coords": [[0.000, 0.000, 0.000], [0.666, 0.666, 0.334]], "e_ij_max_c_m2": 0.7}



x) {"formula": "BN", "functional": "PBE", "state": "relaxed", "lattice": [[-1.333, 3.503, 2.121], [1.333, -3.503, 2.121], [1.333, 3.503, -2.121]], "species": ["B", "B", "B", "N", "N", "N"], "frac_coords": [[0.000, 0.000, 0.000], [0.282, 0.475, 0.807], [0.667, 0.475, 0.193], [0.035, 0.843, 0.192], [0.328, 0.328, 0.000], [0.652, 0.843, 0.808]], "magnetic_moment_mub_per_cell": 0.0}



y) {"formula": "BN", "functional": "PBE", "state": "relaxed", "lattice": [[10.444, 0.000, 0.000], [1.519, 10.555, 0.000], [0.797, -0.067, 10.727]], "species": ["B", "B", "B", "B", "B", "B", "B", "B", "B", "B", "B", "B", "B", "B", "B", "B", "B", "B", "B", "B", "B", "B", "B", "B", "B", "B", "B", "B", "B", "B", "B", "B", "B", "B", "B", "B", "B", "B", "B", "B", "B", "B", "B", "B", "B", "B", "B", "B", "B", "B", "N", "N", "N", "N", "N", "N", "N", "N", "N", "N", "N", "N", "N", "N", "N", "N", "N", "N", "N", "N", "N", "N", "N", "N", "N", "N", "N", "N", "N", "N", "N", "N", "N", "N", "N", "N", "N", "N", "N", "N", "N", "N", "N", "N", "N", "N", "N", "N", "N", "N"], "frac_coords": [[0.000, 0.000, 0.000], [0.002, 0.049, 0.740], [0.016, 0.676, 0.191], [0.038, 0.294, 0.657], [0.070, 0.286, 0.374], [0.073, 0.545, 0.983], [0.114, 0.883, 0.188], [0.131, 0.475, 0.218], [0.192, 0.182, 0.657], [0.203, 0.049, 0.317], [0.229, 0.961, 0.977], [0.236, 0.461, 0.355], [0.236, 0.682, 0.875], [0.252, 0.665, 0.209], [0.272, 0.366, 0.566], [0.348, 0.850, 0.267], [0.350, 0.180, 0.689], [0.385, 0.551, 0.493], [0.426, 0.972, 0.809], [0.470, 0.755, 0.865], [0.483, 0.359, 0.674], [0.494, 0.635, 0.199], [0.563, 0.650, 0.950], [0.570, 0.918, 0.271], [0.574, 0.634, 0.418], [0.578, 0.111, 0.745], [0.620, 0.490, 0.789], [0.624, 0.433, 0.281], [0.633, 0.043, 0.210], [0.637, 0.255, 0.129], [0.660, 0.842, 0.749], [0.662, 0.502, 0.101], [0.687, 0.903, 0.110], [0.725, 0.216, 0.313], [0.741, 0.779, 0.496], [0.746, 0.044, 0.047], [0.753, 0.726, 0.283], [0.767, 0.860, 0.864], [0.774, 0.248, 0.951], [0.787, 0.986, 0.761], [0.813, 0.380, 0.435], [0.851, 0.882, 0.585], [0.876, 0.458, 0.620], [0.901, 0.031, 0.217], [0.904, 0.515, 0.072], [0.914, 0.411, 0.850], [0.921, 0.837, 0.334], [0.926, 0.894, 0.812], [0.952, 0.168, 0.365], [0.979, 0.655, 0.872], [0.039, 0.535, 0.122], [0.060, 0.156, 0.687], [0.097, 0.146, 0.349], [0.120, 0.947, 0.053], [0.122, 0.627, 0.894], [0.131, 0.737, 0.181], [0.136, 0.385, 0.320], [0.161, 0.302, 0.585], [0.220, 0.928, 0.262], [0.247, 0.531, 0.239], [0.279, 0.308, 0.003], [0.291, 0.469, 0.476], [0.321, 0.231, 0.065], [0.321, 0.986, 0.899], [0.338, 0.081, 0.357], [0.345, 0.720, 0.853], [0.369, 0.721, 0.221], [0.377, 0.306, 0.641], [0.383, 0.162, 0.398], [0.444, 0.913, 0.317], [0.449, 0.097, 0.741], [0.470, 0.624, 0.512], [0.517, 0.858, 0.787], [0.558, 0.608, 0.077], [0.560, 0.562, 0.301], [0.578, 0.401, 0.720], [0.616, 0.385, 0.152], [0.628, 0.173, 0.240], [0.654, 0.573, 0.862], [0.673, 0.816, 0.211], [0.685, 0.182, 0.015], [0.686, 0.704, 0.411], [0.702, 0.096, 0.750], [0.708, 0.347, 0.361], [0.718, 0.921, 0.986], [0.729, 0.824, 0.627], [0.787, 0.519, 0.125], [0.809, 0.480, 0.524], [0.845, 0.125, 0.313], [0.857, 0.846, 0.456], [0.859, 0.315, 0.907], [0.888, 0.041, 0.081], [0.899, 0.719, 0.263], [0.903, 0.767, 0.850], [0.918, 0.952, 0.675], [0.935, 0.293, 0.421], [0.950, 0.520, 0.929], [0.953, 0.406, 0.713], [0.986, 0.927, 0.263], [0.996, 0.995, 0.860]], "magnetic_moment_mub_per_cell": 0.0}



Name the least stable of them. y).